(1)
VASP calculation (PBE-GGA) on a relaxed KHgP3O9 crystal.

a = 5.727 Å, b = 11.450 Å, c = 12.733 Å
α = 90.00°, β = 90.00°, γ = 90.00°
Positions (direct):
K  0.095  0.118  0.079
K  0.405  0.882  0.579
K  0.595  0.382  0.921
K  0.905  0.618  0.421
Hg  0.095  0.482  0.137
Hg  0.405  0.518  0.637
Hg  0.595  0.018  0.863
Hg  0.905  0.982  0.363
P  0.076  0.188  0.814
P  0.105  0.841  0.852
P  0.118  0.585  0.872
P  0.382  0.415  0.372
P  0.395  0.159  0.352
P  0.424  0.812  0.314
P  0.576  0.312  0.186
P  0.605  0.659  0.148
P  0.618  0.915  0.128
P  0.882  0.085  0.628
P  0.895  0.341  0.648
P  0.924  0.688  0.686
O  0.015  0.506  0.955
O  0.027  0.427  0.582
O  0.062  0.309  0.748
O  0.079  0.092  0.721
O  0.118  0.718  0.915
O  0.144  0.679  0.620
O  0.152  0.447  0.323
O  0.155  0.129  0.311
O  0.195  0.816  0.371
O  0.305  0.184  0.871
O  0.345  0.871  0.811
O  0.348  0.553  0.823
O  0.356  0.321  0.120
O  0.382  0.282  0.415
O  0.421  0.908  0.221
O  0.438  0.691  0.248
O  0.473  0.573  0.082
O  0.485  0.494  0.455
O  0.515  0.994  0.045
O  0.527  0.073  0.418
O  0.562  0.191  0.252
O  0.579  0.408  0.279
O  0.618  0.782  0.085
O  0.644  0.821  0.380
O  0.652  0.053  0.677
O  0.655  0.371  0.689
O  0.695  0.684  0.629
O  0.805  0.316  0.129
O  0.845  0.629  0.189
O  0.848  0.947  0.177
O  0.856  0.179  0.880
O  0.882  0.218  0.585
O  0.921  0.592  0.779
O  0.938  0.809  0.752
O  0.973  0.927  0.918
O  0.985  0.006  0.545

## Properties
Its formation energy is -2388 meV per atom. The MP2020-corrected energy is -6.8298 eV per atom.

(2)
VASP calculation (PBE-GGA) on a relaxed Ca3Er3Ge2BO13 crystal.

a = 7.408 Å, b = 7.408 Å, c = 10.490 Å
α = 90.00°, β = 90.00°, γ = 90.00°
Positions (direct):
Ca  0.000  0.000  0.000
Ca  0.229  0.230  0.771
Ca  0.271  0.730  0.271
Ca  0.500  0.500  0.500
Ca  0.729  0.270  0.271
Ca  0.771  0.770  0.771
Er  0.000  0.000  0.543
Er  0.228  0.772  0.770
Er  0.272  0.272  0.270
Er  0.500  0.500  0.043
Er  0.728  0.728  0.270
Er  0.772  0.228  0.770
Ge  0.000  0.500  0.015
Ge  0.000  0.500  0.516
Ge  0.500  0.000  0.016
Ge  0.500  0.000  0.515
B  0.000  0.000  0.272
B  0.500  0.500  0.772
O  0.000  0.000  0.760
O  0.006  0.163  0.357
O  0.009  0.700  0.615
O  0.014  0.694  0.917
O  0.165  0.007  0.193
O  0.196  0.491  0.416
O  0.197  0.487  0.112
O  0.303  0.987  0.612
O  0.304  0.991  0.916
O  0.335  0.507  0.693
O  0.486  0.194  0.417
O  0.491  0.200  0.115
O  0.494  0.663  0.857
O  0.500  0.500  0.260
O  0.506  0.337  0.857
O  0.509  0.800  0.115
O  0.514  0.806  0.417
O  0.665  0.493  0.693
O  0.696  0.009  0.916
O  0.697  0.013  0.612
O  0.803  0.513  0.112
O  0.804  0.509  0.416
O  0.835  0.993  0.193
O  0.986  0.306  0.917
O  0.991  0.300  0.615
O  0.994  0.837  0.357

## Properties
Its formation energy is -3325 meV per atom. The MP2020-corrected energy is -7.8688 eV per atom. The calculation puts the energy above the most stable polymorph in this dataset at 0.0000 eV per atom.

(3)
VASP calculation (PBE-GGA) on a relaxed Nd2Al3Ga crystal.

a = 3.851 Å, b = 4.512 Å, c = 7.842 Å
α = 90.00°, β = 90.00°, γ = 90.00°
Positions (direct):
Nd  0.000  0.000  0.000
Nd  0.000  0.500  0.496
Al  0.500  0.000  0.662
Al  0.500  0.500  0.166
Al  0.500  0.500  0.831
Ga  0.500  0.000  0.333

## Properties
Its formation energy is -523 meV per atom. The calculation puts the energy above the most stable polymorph in this dataset at 0.0021 eV per atom.

(4)
VASP calculation (PBE-GGA) on a relaxed RbHoO3 crystal.

a = 4.498 Å, b = 4.498 Å, c = 4.498 Å
α = 90.00°, β = 90.00°, γ = 90.00°
Positions (direct):
Rb  0.000  0.000  0.000
Ho  0.500  0.500  0.500
O  0.000  0.500  0.500
O  0.500  0.000  0.500
O  0.500  0.500  0.000

## Properties
Its formation energy is -2304 meV per atom. The MP2020-corrected energy is -6.3850 eV per atom.

(5)
VASP calculation (PBE-GGA) on a relaxed U2Cr3Si crystal.

a = 5.121 Å, b = 5.121 Å, c = 8.062 Å
α = 90.00°, β = 90.00°, γ = 120.00°
Positions (direct):
U  0.333  0.667  0.086
U  0.333  0.667  0.414
U  0.667  0.333  0.586
U  0.667  0.333  0.914
Cr  0.172  0.345  0.750
Cr  0.172  0.828  0.750
Cr  0.345  0.172  0.250
Cr  0.655  0.828  0.750
Cr  0.828  0.172  0.250
Cr  0.828  0.655  0.250
Si  0.000  0.000  0.000
Si  0.000  0.000  0.500

## Properties
Its formation energy is -79 meV per atom. The MP2020-corrected energy is -9.5737 eV per atom.

(6)
VASP calculation (PBE-GGA) on a relaxed Nd3In crystal.

a = 4.992 Å, b = 4.992 Å, c = 4.992 Å
α = 90.00°, β = 90.00°, γ = 90.00°
Positions (direct):
Nd  0.000  0.000  0.500
Nd  0.000  0.500  0.000
Nd  0.500  0.000  0.000
In  0.500  0.500  0.500

## Properties
Its formation energy is -272 meV per atom.

(7)
VASP calculation (PBE-GGA) on a relaxed Cs3Re3S4I4 crystal.

a = 11.449 Å, b = 11.449 Å, c = 11.449 Å
α = 60.00°, β = 60.00°, γ = 60.00°
Positions (direct):
Cs  0.000  0.000  0.500
Cs  0.000  0.500  0.000
Cs  0.000  0.500  0.500
Cs  0.500  0.000  0.000
Cs  0.500  0.000  0.500
Cs  0.500  0.500  0.000
Re  0.115  0.115  0.885
Re  0.115  0.885  0.115
Re  0.115  0.885  0.885
Re  0.885  0.115  0.115
Re  0.885  0.115  0.885
Re  0.885  0.885  0.115
S  0.106  0.106  0.106
S  0.106  0.106  0.683
S  0.106  0.683  0.106
S  0.317  0.894  0.894
S  0.683  0.106  0.106
S  0.894  0.317  0.894
S  0.894  0.894  0.317
S  0.894  0.894  0.894
I  0.250  0.250  0.250
I  0.289  0.289  0.711
I  0.289  0.711  0.289
I  0.289  0.711  0.711
I  0.711  0.289  0.289
I  0.711  0.289  0.711
I  0.711  0.711  0.289
I  0.750  0.750  0.750

## Properties
Its formation energy is -1241 meV per atom. The MP2020-corrected energy is -5.7165 eV per atom.

(8)
VASP calculation (PBE-GGA) on a relaxed RbLi2Ga2B3O9 crystal.

a = 6.503 Å, b = 5.011 Å, c = 12.962 Å
α = 90.00°, β = 92.92°, γ = 90.00°
Positions (direct):
Rb  0.000  0.212  0.250
Rb  0.000  0.788  0.750
Li  0.497  0.170  0.367
Li  0.497  0.830  0.867
Li  0.503  0.170  0.133
Li  0.503  0.830  0.633
Ga  0.234  0.314  0.564
Ga  0.234  0.686  0.064
Ga  0.766  0.314  0.936
Ga  0.766  0.686  0.436
B  0.191  0.183  0.959
B  0.191  0.817  0.459
B  0.500  0.336  0.750
B  0.500  0.664  0.250
B  0.809  0.183  0.541
B  0.809  0.817  0.041
O  0.036  0.291  0.895
O  0.036  0.709  0.395
O  0.245  0.086  0.449
O  0.245  0.914  0.949
O  0.298  0.333  0.034
O  0.298  0.667  0.534
O  0.401  0.181  0.671
O  0.401  0.819  0.171
O  0.500  0.396  0.250
O  0.500  0.604  0.750
O  0.599  0.181  0.829
O  0.599  0.819  0.329
O  0.702  0.333  0.466
O  0.702  0.667  0.966
O  0.755  0.086  0.051
O  0.755  0.914  0.551
O  0.964  0.291  0.605
O  0.964  0.709  0.105

## Properties
Its formation energy is -2601 meV per atom. The MP2020-corrected energy is -7.0378 eV per atom.

(9)
VASP calculation (PBE-GGA) on a relaxed YHgB crystal.

a = 4.341 Å, b = 4.341 Å, c = 4.341 Å
α = 60.00°, β = 60.00°, γ = 60.00°
Positions (direct):
Y  0.000  0.000  0.000
Hg  0.500  0.500  0.500
B  0.750  0.750  0.750

## Properties
Its formation energy is -52 meV per atom.

(10)
VASP calculation (PBE-GGA) on a relaxed CsMg30BO32 crystal.

a = 8.599 Å, b = 8.599 Å, c = 8.712 Å
α = 90.00°, β = 90.00°, γ = 90.00°
Positions (direct):
Cs  0.000  0.000  0.000
Mg  0.000  0.000  0.500
Mg  0.000  0.254  0.255
Mg  0.000  0.254  0.745
Mg  0.000  0.500  0.000
Mg  0.000  0.500  0.500
Mg  0.000  0.746  0.255
Mg  0.000  0.746  0.745
Mg  0.250  0.250  0.500
Mg  0.250  0.750  0.500
Mg  0.254  0.000  0.255
Mg  0.254  0.000  0.745
Mg  0.255  0.500  0.252
Mg  0.255  0.500  0.748
Mg  0.257  0.257  0.000
Mg  0.257  0.743  0.000
Mg  0.500  0.000  0.000
Mg  0.500  0.000  0.500
Mg  0.500  0.255  0.252
Mg  0.500  0.255  0.748
Mg  0.500  0.500  0.500
Mg  0.500  0.745  0.252
Mg  0.500  0.745  0.748
Mg  0.743  0.257  0.000
Mg  0.743  0.743  0.000
Mg  0.745  0.500  0.252
Mg  0.745  0.500  0.748
Mg  0.746  0.000  0.255
Mg  0.746  0.000  0.745
Mg  0.750  0.250  0.500
Mg  0.750  0.750  0.500
B  0.500  0.500  0.000
O  0.000  0.000  0.285
O  0.000  0.000  0.715
O  0.000  0.258  0.500
O  0.000  0.287  0.000
O  0.000  0.500  0.252
O  0.000  0.500  0.748
O  0.000  0.713  0.000
O  0.000  0.742  0.500
O  0.251  0.251  0.248
O  0.251  0.251  0.752
O  0.251  0.749  0.248
O  0.251  0.749  0.752
O  0.252  0.500  0.500
O  0.258  0.000  0.500
O  0.287  0.000  0.000
O  0.300  0.500  0.000
O  0.500  0.000  0.252
O  0.500  0.000  0.748
O  0.500  0.252  0.500
O  0.500  0.300  0.000
O  0.500  0.500  0.257
O  0.500  0.500  0.743
O  0.500  0.700  0.000
O  0.500  0.748  0.500
O  0.700  0.500  0.000
O  0.713  0.000  0.000
O  0.742  0.000  0.500
O  0.748  0.500  0.500
O  0.749  0.251  0.248
O  0.749  0.251  0.752
O  0.749  0.749  0.248
O  0.749  0.749  0.752

## Properties
Its formation energy is -2817 meV per atom. The MP2020-corrected energy is -6.1595 eV per atom.

(11)
VASP calculation (PBE-GGA) on a relaxed CaBi2Br2O3 crystal.

a = 4.059 Å, b = 4.059 Å, c = 21.208 Å
α = 90.00°, β = 90.00°, γ = 90.00°
Positions (direct):
Ca  0.250  0.250  0.236
Ca  0.750  0.750  0.764
Bi  0.250  0.250  0.444
Bi  0.250  0.250  0.861
Bi  0.750  0.750  0.139
Bi  0.750  0.750  0.556
Br  0.250  0.250  0.060
Br  0.250  0.250  0.637
Br  0.750  0.750  0.363
Br  0.750  0.750  0.940
O  0.250  0.750  0.194
O  0.250  0.750  0.500
O  0.250  0.750  0.806
O  0.750  0.250  0.194
O  0.750  0.250  0.500
O  0.750  0.250  0.806

## Properties
Its formation energy is -1740 meV per atom. The MP2020-corrected energy is -5.2281 eV per atom.

(12)
VASP calculation (PBE-GGA) on a relaxed BaMgTiO3 crystal.

a = 5.269 Å, b = 5.269 Å, c = 4.729 Å
α = 107.43°, β = 107.43°, γ = 72.68°
Positions (direct):
Ba  0.000  0.000  0.000
Mg  0.304  0.304  0.711
Ti  0.542  0.542  0.442
O  0.331  0.331  0.146
O  0.387  0.906  0.548
O  0.906  0.387  0.548

## Properties
Its formation energy is -2718 meV per atom. The MP2020-corrected energy is -7.0942 eV per atom. The calculation puts the energy above the most stable polymorph in this dataset at 0.0000 eV per atom.

(13)
VASP calculation (PBE-GGA) on a relaxed NbPO5 crystal.

a = 13.283 Å, b = 5.393 Å, c = 13.509 Å
α = 90.00°, β = 120.34°, γ = 90.00°
Positions (direct):
Nb  0.063  0.243  0.197
Nb  0.063  0.257  0.697
Nb  0.437  0.746  0.134
Nb  0.437  0.754  0.634
Nb  0.563  0.246  0.366
Nb  0.563  0.254  0.866
Nb  0.937  0.743  0.303
Nb  0.937  0.757  0.803
P  0.154  0.735  0.091
P  0.154  0.765  0.591
P  0.346  0.240  0.938
P  0.346  0.260  0.438
P  0.654  0.740  0.562
P  0.654  0.760  0.062
P  0.846  0.235  0.409
P  0.846  0.265  0.909
O  0.007  0.529  0.241
O  0.007  0.971  0.741
O  0.081  0.739  0.459
O  0.081  0.761  0.959
O  0.121  0.557  0.647
O  0.121  0.943  0.147
O  0.135  0.022  0.627
O  0.135  0.478  0.127
O  0.216  0.247  0.343
O  0.216  0.253  0.843
O  0.284  0.735  0.628
O  0.284  0.765  0.128
O  0.371  0.517  0.494
O  0.371  0.983  0.994
O  0.372  0.053  0.525
O  0.372  0.447  0.025
O  0.420  0.222  0.379
O  0.420  0.278  0.879
O  0.498  0.026  0.236
O  0.498  0.474  0.736
O  0.502  0.526  0.264
O  0.502  0.974  0.764
O  0.580  0.722  0.121
O  0.580  0.778  0.621
O  0.628  0.553  0.975
O  0.628  0.947  0.475
O  0.629  0.017  0.006
O  0.629  0.483  0.506
O  0.716  0.235  0.872
O  0.716  0.265  0.372
O  0.784  0.747  0.157
O  0.784  0.753  0.657
O  0.865  0.522  0.873
O  0.865  0.978  0.373
O  0.879  0.057  0.853
O  0.879  0.443  0.353
O  0.919  0.239  0.041
O  0.919  0.261  0.541
O  0.993  0.029  0.259
O  0.993  0.471  0.759

## Properties
Its formation energy is -2929 meV per atom. The MP2020-corrected energy is -8.6797 eV per atom. The calculation puts the energy above the most stable polymorph in this dataset at 0.0008 eV per atom.